(1)
# Sb3AsS6 PBE optimized geometry
data_Sb3AsS6
_symmetry_space_group_name_H-M 'P 1'
_symmetry_Int_Tables_number 1
_symmetry_space_group_name_Hall 'P 1'
_cell_length_a 3.800
_cell_length_b 11.152
_cell_length_c 12.037
_cell_angle_alpha 90.00
_cell_angle_beta 90.00
_cell_angle_gamma 90.00
loop_
_atom_site_label
_atom_site_type_symbol
_atom_site_fract_x
_atom_site_fract_y
_atom_site_fract_z
S1 S 0.000 0.369 0.546
S2 S 0.000 0.631 0.046
S3 S 0.500 0.117 0.455
S4 S 0.500 0.563 0.800
S5 S 0.500 0.883 0.955
S6 S 0.000 0.700 0.373
S7 S 0.500 0.816 0.617
S8 S 0.500 0.184 0.117
S9 S 0.000 0.946 0.202
S10 S 0.000 0.300 0.873
S11 S 0.500 0.437 0.300
S12 S 0.000 0.054 0.702
As1 As 0.000 0.069 0.048
As2 As 0.000 0.931 0.548
Sb1 Sb 0.500 0.415 0.963
Sb2 Sb 0.500 0.215 0.640
Sb3 Sb 0.500 0.585 0.463
Sb4 Sb 0.500 0.785 0.140
Sb5 Sb 0.000 0.722 0.857
Sb6 Sb 0.000 0.278 0.357
# Calculated total energy = -4.388 eV/atom
# E (MP2020) = -93.789 eV for the cell shown
# DFT formation energy = -0.50 eV per atom

(2)
# SmAsS PBE optimized geometry
data_SmAsS
_symmetry_space_group_name_H-M 'P 1'
_symmetry_Int_Tables_number 1
_symmetry_space_group_name_Hall 'P 1'
_cell_length_a 3.893
_cell_length_b 3.922
_cell_length_c 17.391
_cell_angle_alpha 90.00
_cell_angle_beta 90.00
_cell_angle_gamma 90.00
loop_
_atom_site_label
_atom_site_type_symbol
_atom_site_fract_x
_atom_site_fract_y
_atom_site_fract_z
As1 As 0.250 0.715 0.999
As2 As 0.250 0.785 0.499
As3 As 0.750 0.215 0.501
As4 As 0.750 0.285 0.001
Sm1 Sm 0.750 0.755 0.145
Sm2 Sm 0.250 0.255 0.355
Sm3 Sm 0.250 0.245 0.855
Sm4 Sm 0.750 0.745 0.645
S1 S 0.750 0.747 0.813
S2 S 0.250 0.253 0.187
S3 S 0.750 0.753 0.313
S4 S 0.250 0.247 0.687
# Calculated total energy = -6.073 eV/atom
# E (MP2020) = -74.892 eV for the cell shown
# DFT formation energy = -1.74 eV per atom

(3)
# SmAsS PBE optimized geometry
data_SmAsS
_symmetry_space_group_name_H-M 'P 1'
_symmetry_Int_Tables_number 1
_symmetry_space_group_name_Hall 'P 1'
_cell_length_a 3.888
_cell_length_b 3.927
_cell_length_c 17.370
_cell_angle_alpha 90.00
_cell_angle_beta 90.00
_cell_angle_gamma 90.00
loop_
_atom_site_label
_atom_site_type_symbol
_atom_site_fract_x
_atom_site_fract_y
_atom_site_fract_z
S1 S 0.750 0.749 0.813
S2 S 0.250 0.249 0.687
S3 S 0.750 0.751 0.313
S4 S 0.250 0.251 0.187
Sm1 Sm 0.250 0.255 0.354
Sm2 Sm 0.250 0.245 0.854
Sm3 Sm 0.750 0.755 0.146
Sm4 Sm 0.750 0.745 0.646
As1 As 0.250 0.718 0.999
As2 As 0.750 0.282 0.001
As3 As 0.750 0.218 0.501
As4 As 0.250 0.782 0.499
# Calculated total energy = -6.073 eV/atom
# E (MP2020) = -74.883 eV for the cell shown
# DFT formation energy = -1.74 eV per atom

(4)
# SmAsS PBE optimized geometry
data_SmAsS
_symmetry_space_group_name_H-M 'P 1'
_symmetry_Int_Tables_number 1
_symmetry_space_group_name_Hall 'P 1'
_cell_length_a 3.888
_cell_length_b 3.927
_cell_length_c 8.685
_cell_angle_alpha 90.00
_cell_angle_beta 90.00
_cell_angle_gamma 90.00
loop_
_atom_site_label
_atom_site_type_symbol
_atom_site_fract_x
_atom_site_fract_y
_atom_site_fract_z
As1 As 0.750 0.250 0.002
As2 As 0.250 0.750 0.998
S1 S 0.250 0.250 0.373
S2 S 0.750 0.750 0.627
Sm1 Sm 0.250 0.250 0.708
Sm2 Sm 0.750 0.750 0.292
# Calculated total energy = -6.056 eV/atom
# E (MP2020) = -37.340 eV for the cell shown
# DFT formation energy = -1.72 eV per atom